# TbCoC2

Crystalline TbCoC2 at its relaxed geometry (PBE-GGA, the Materials Project database).

```
4
Lattice="-1.158 1.865 -3.048 -0.327 -3.651 -0.822 -3.363 0.011 1.284" Properties=species:S:1:pos:R:3 pbc="T T T"
Tb -1.154 1.843 -3.039
Co -2.323 -1.552 -1.025
C -2.355 0.433 -1.124
C -2.808 -0.113 -2.307
```

Results
As for the density: 8.23 g cm⁻³. Its formation energy is -338.2 meV per atom. Its space group is No. 38. As for the total energy: -7.888 eV/atom.